No. 1
An optimized crystal structure of CeSi2Ir2, computed with PBE.

Output
- density (g cm⁻³) = 11.3
- total DFT energy (no corrections) (eV/atom) = -7.95

Cell lengths 5.8432, 5.8432, 5.8432 Å; angles 138.88, 138.88, 59.56 degrees
Positions (direct):
1 Ce 0.0000 0.0000 0.0000
2 Si 0.6218 0.6218 0.0000
3 Si 0.3782 0.3782 0.0000
4 Ir 0.2500 0.7500 0.5000
5 Ir 0.7500 0.2500 0.5000

***

No. 2
An optimized crystal structure of KCe3, computed with PBE.

Output
- density (g cm⁻³) = 5.7
- total DFT energy (no corrections) (eV/atom) = -4.01

Cell lengths 5.1090, 5.1090, 5.1090 Å; angles 90.00, 90.00, 90.00 degrees
Positions (direct):
1 K 0.0000 0.0000 0.0000
2 Ce 0.0000 0.5000 0.5000
3 Ce 0.5000 0.0000 0.5000
4 Ce 0.5000 0.5000 0.0000